Entry 1:
Ti2In3Br9 after structural relaxation. Source: the Materials Project, functional PBE.

a = 7.518 Å, b = 7.518 Å, c = 18.448 Å
α = 90.00°, β = 90.00°, γ = 120.00°
Fractional positions:
1 Br 0.828 0.656 0.413
2 Br 0.173 0.346 0.585
3 Br 0.989 0.494 0.249
4 Br 0.172 0.828 0.913
5 Br 0.344 0.172 0.413
6 In 0.667 0.333 0.553
7 Ti 0.333 0.667 0.835
8 In 0.333 0.667 0.452
9 Br 0.656 0.828 0.913
10 Br 0.827 0.654 0.085
11 Br 0.494 0.506 0.749
12 Ti 0.667 0.333 0.335
13 Br 0.346 0.173 0.085
14 Br 0.654 0.827 0.585
15 In 0.000 0.000 0.274
16 In 0.667 0.333 0.952
17 Br 0.828 0.172 0.413
18 In 0.333 0.667 0.053
19 Br 0.172 0.344 0.913
20 Br 0.506 0.011 0.249
21 Br 0.506 0.494 0.249
22 In 0.000 0.000 0.774
23 Br 0.173 0.827 0.585
24 Ti 0.333 0.667 0.662
25 Br 0.827 0.173 0.085
26 Br 0.494 0.989 0.749
27 Br 0.011 0.506 0.749
28 Ti 0.667 0.333 0.162

***

Entry 2:
KCr5Se8 after structural relaxation. Source: the Materials Project, functional PBE.

a = 9.666 Å, b = 9.666 Å, c = 9.112 Å
α = 75.26°, β = 75.26°, γ = 22.04°
Fractional positions:
1 Se 0.171 0.171 0.511
2 Se 0.425 0.425 0.155
3 Se 0.914 0.914 0.829
4 K 0.500 0.500 0.500
5 Cr 0.000 0.000 0.000
6 Se 0.575 0.575 0.845
7 Cr 0.341 0.341 0.981
8 Cr 0.704 0.704 0.666
9 Cr 0.296 0.296 0.334
10 Se 0.239 0.239 0.843
11 Se 0.761 0.761 0.157
12 Cr 0.659 0.659 0.019
13 Se 0.829 0.829 0.489
14 Se 0.086 0.086 0.171

***

Entry 3:
Cd2GaCuSe4 after structural relaxation. Source: the Materials Project, functional PBE.

a = 7.263 Å, b = 7.263 Å, c = 7.263 Å
α = 131.87°, β = 131.87°, γ = 70.44°
Fractional positions:
1 Cd 0.750 0.250 0.500
2 Cd 0.250 0.750 0.500
3 Cu 0.000 0.000 0.000
4 Se 0.860 0.361 0.000
5 Se 0.639 0.639 0.499
6 Ga 0.500 0.500 0.000
7 Se 0.361 0.860 0.000
8 Se 0.140 0.140 0.501

***

Entry 4:
Tb11CuSe16 after structural relaxation. Source: the Materials Project, functional PBE.

a = 8.697 Å, b = 8.783 Å, c = 17.402 Å
α = 90.00°, β = 90.00°, γ = 90.00°
Fractional positions:
1 Se 0.678 0.318 0.284
2 Se 0.428 0.928 0.838
3 Se 0.807 0.834 0.467
4 Se 0.933 0.082 0.154
5 Se 0.179 0.682 0.714
6 Se 0.178 0.682 0.216
7 Tb 0.752 0.998 0.819
8 Tb 0.500 0.876 0.000
9 Se 0.816 0.805 0.963
10 Se 0.821 0.682 0.286
11 Se 0.935 0.433 0.591
12 Tb 0.252 0.513 0.561
13 Se 0.928 0.072 0.662
14 Se 0.435 0.567 0.909
15 Tb 0.252 0.002 0.681
16 Se 0.065 0.433 0.409
17 Se 0.693 0.166 0.967
18 Se 0.184 0.805 0.037
19 Se 0.567 0.918 0.654
20 Tb 0.752 0.487 0.939
21 Tb 0.248 0.998 0.181
22 Se 0.572 0.928 0.162
23 Tb 0.000 0.124 0.500
24 Se 0.307 0.166 0.033
25 Se 0.822 0.682 0.784
26 Tb 0.248 0.487 0.061
27 Se 0.679 0.318 0.786
28 Se 0.322 0.318 0.716
29 Se 0.193 0.834 0.533
30 Tb 0.502 0.626 0.748
31 Se 0.565 0.567 0.091
32 Tb 0.135 0.751 0.377
33 Tb 0.375 0.237 0.376
34 Tb 0.498 0.626 0.252
35 Se 0.316 0.195 0.537
36 Tb 0.625 0.237 0.624
37 Tb 0.875 0.763 0.124
38 Tb 0.365 0.249 0.877
39 Se 0.433 0.918 0.346
40 Se 0.074 0.444 0.908
41 Se 0.684 0.195 0.463
42 Se 0.072 0.072 0.338
43 Cu 0.500 0.876 0.500
44 Tb 0.002 0.374 0.752
45 Se 0.067 0.082 0.846
46 Tb 0.748 0.513 0.439
47 Tb 0.125 0.763 0.876
48 Tb 0.635 0.249 0.123
49 Se 0.426 0.556 0.408
50 Se 0.574 0.556 0.592
51 Se 0.321 0.318 0.214
52 Tb 0.998 0.374 0.248
53 Cu 0.000 0.124 0.000
54 Tb 0.865 0.751 0.623
55 Se 0.926 0.444 0.092
56 Tb 0.748 0.002 0.319

***

Number 1: ΔH_f (0 K) -1327 meV per atom, E_tot -3.754 eV/atom. Number 2: ΔH_f (0 K) -912 meV per atom, E_tot -6.167 eV/atom. Number 3: ΔH_f (0 K) -765 meV per atom, E_tot -3.399 eV/atom. Number 4: ΔH_f (0 K) -1969 meV per atom, E_tot -5.664 eV/atom.